# 1
A plane-wave DFT calculation with PBE was carried out for a geometry-optimized Fe2Ni9N8 structure.

Summary:
M_tot = 0.003 μB/atom
formation energy from the elements = 148 meV per atom
uncorrected energy = -6.84 eV per atom

The structure in CIF format:
```
data_Fe2Ni9N8
_chemical_formula_sum 'Fe4 Ni18 N16'
_symmetry_space_group_name_H-M 'C 1 2/m 1'
_symmetry_Int_Tables_number 12
_symmetry_space_group_name_Hall '-C 2y'
_cell_length_a 18.556
_cell_length_b 3.398
_cell_length_c 7.259
_cell_angle_alpha 90.00
_cell_angle_beta 107.76
_cell_angle_gamma 90.00
loop_
_atom_site_label
_atom_site_fract_x
_atom_site_fract_y
_atom_site_fract_z
Fe1 0.185 0.000 0.201
Ni1 0.000 0.500 0.500
Ni2 0.025 0.000 0.844
Ni3 0.101 0.500 0.315
Ni4 0.142 0.500 0.865
Ni5 0.193 0.000 0.652
N1 0.005 0.500 0.750
N2 0.129 0.000 0.955
N3 0.143 0.000 0.391
N4 0.217 0.500 0.748
```

# 2
A plane-wave DFT calculation with PBE was carried out for a geometry-optimized Fe4P6SN12 structure.

Summary:
M_tot = 0.174 μB/atom
formation energy from the elements = 481 meV per atom
uncorrected energy = -6.74 eV per atom

The structure in CIF format:
```
data_Fe4P6SN12
_chemical_formula_sum 'Fe8 P12 S2 N24'
_symmetry_space_group_name_H-M 'I -4 2 m'
_symmetry_Int_Tables_number 121
_symmetry_space_group_name_Hall 'I -4 2'
_cell_length_a 7.459
_cell_length_b 7.459
_cell_length_c 8.293
_cell_angle_alpha 90.00
_cell_angle_beta 90.00
_cell_angle_gamma 90.00
loop_
_atom_site_label
_atom_site_fract_x
_atom_site_fract_y
_atom_site_fract_z
Fe1 0.103 0.103 0.116
P1 0.000 0.500 0.000
P2 0.204 0.204 0.733
S1 0.000 0.000 0.500
N1 0.124 0.361 0.105
N2 0.150 0.150 0.332
```

# 3
A plane-wave DFT calculation with PBE was carried out for a geometry-optimized FePd2N2 structure.

Summary:
M_tot = 0.242 μB/atom
formation energy from the elements = 189 meV per atom
uncorrected energy = -6.77 eV per atom

The structure in CIF format:
```
data_FePd2N2
_chemical_formula_sum 'Fe2 Pd4 N4'
_symmetry_space_group_name_H-M 'C 1 2/m 1'
_symmetry_Int_Tables_number 12
_symmetry_space_group_name_Hall '-C 2y'
_cell_length_a 4.850
_cell_length_b 2.793
_cell_length_c 8.509
_cell_angle_alpha 90.00
_cell_angle_beta 100.92
_cell_angle_gamma 90.00
loop_
_atom_site_label
_atom_site_fract_x
_atom_site_fract_y
_atom_site_fract_z
Fe1 0.000 0.000 0.000
Pd1 0.214 0.000 0.638
N1 0.209 0.500 0.126
```

# 4
A plane-wave DFT calculation with PBE was carried out for a geometry-optimized Fe3RhN structure.

Summary:
formation energy from the elements = -146 meV per atom
uncorrected energy = -8.30 eV per atom

The structure in CIF format:
```
data_Fe3RhN
_chemical_formula_sum 'Fe3 Rh1 N1'
_symmetry_space_group_name_H-M 'P m -3 m'
_symmetry_Int_Tables_number 221
_symmetry_space_group_name_Hall '-P 4 2 3'
_cell_length_a 3.852
_cell_length_b 3.852
_cell_length_c 3.852
_cell_angle_alpha 90.00
_cell_angle_beta 90.00
_cell_angle_gamma 90.00
loop_
_atom_site_label
_atom_site_fract_x
_atom_site_fract_y
_atom_site_fract_z
Fe1 0.000 0.000 0.500
Rh1 0.500 0.500 0.500
N1 0.000 0.000 0.000
```

# 5
A plane-wave DFT calculation with PBE was carried out for a geometry-optimized Fe4RuN4 structure.

Summary:
M_tot = 0.090 μB/atom
formation energy from the elements = 68 meV per atom
uncorrected energy = -8.27 eV per atom

The structure in CIF format:
```
data_Fe4RuN4
_chemical_formula_sum 'Fe8 Ru2 N8'
_symmetry_space_group_name_H-M 'P -1'
_symmetry_Int_Tables_number 2
_symmetry_space_group_name_Hall '-P 1'
_cell_length_a 4.838
_cell_length_b 4.843
_cell_length_c 7.952
_cell_angle_alpha 88.49
_cell_angle_beta 74.44
_cell_angle_gamma 71.87
loop_
_atom_site_label
_atom_site_fract_x
_atom_site_fract_y
_atom_site_fract_z
Fe1 0.066 0.210 0.420
Fe2 0.275 0.277 0.960
Fe3 0.413 0.776 0.774
Fe4 0.428 0.289 0.592
Ru1 0.133 0.738 0.207
N1 0.147 0.682 0.962
N2 0.218 0.982 0.607
N3 0.282 0.502 0.406
N4 0.362 0.040 0.150
```

# 6
A plane-wave DFT calculation with PBE was carried out for a geometry-optimized FeSeN structure.

Summary:
M_tot = 0.682 μB/atom
formation energy from the elements = 991 meV per atom
uncorrected energy = -5.66 eV per atom

The structure in CIF format:
```
data_FeSeN
_chemical_formula_sum 'Fe2 Se2 N2'
_symmetry_space_group_name_H-M 'P 4/n m m'
_symmetry_Int_Tables_number 129
_cell_length_a 3.584
_cell_length_b 3.584
_cell_length_c 6.909
_cell_angle_alpha 90.00
_cell_angle_beta 90.00
_cell_angle_gamma 90.00
loop_
_symmetry_equiv_pos_as_xyz
'x,y,z'
'-x,-y,-z'
'-y+1/2,x,z'
'y+1/2,-x,-z'
'-x+1/2,-y+1/2,z'
'x+1/2,y+1/2,-z'
'y,-x+1/2,z'
'-y,x+1/2,-z'
'x+1/2,-y,-z'
'-x+1/2,y,z'
'-y,-x,-z'
'y,x,z'
'-x,y+1/2,-z'
'x,-y+1/2,z'
'y+1/2,x+1/2,-z'
'-y+1/2,-x+1/2,z'
loop_
_atom_site_label
_atom_site_fract_x
_atom_site_fract_y
_atom_site_fract_z
Fe1 0.250 0.750 0.000
Se1 0.250 0.250 0.230
N1 0.250 0.250 0.483
```

# 7
A plane-wave DFT calculation with PBE was carried out for a geometry-optimized FeSiN2 structure.

Summary:
M_tot = 0.486 μB/atom
formation energy from the elements = -396 meV per atom
uncorrected energy = -7.86 eV per atom

The structure in CIF format:
```
data_FeSiN2
_chemical_formula_sum 'Fe4 Si4 N8'
_symmetry_space_group_name_H-M 'P 1 21/c 1'
_symmetry_Int_Tables_number 14
_symmetry_space_group_name_Hall '-P 2ybc'
_cell_length_a 5.905
_cell_length_b 5.542
_cell_length_c 5.024
_cell_angle_alpha 90.00
_cell_angle_beta 111.77
_cell_angle_gamma 90.00
loop_
_atom_site_label
_atom_site_fract_x
_atom_site_fract_y
_atom_site_fract_z
Fe1 0.119 0.162 0.434
Si1 0.327 0.632 0.509
N1 0.186 0.646 0.756
N2 0.350 0.134 0.824
```

# 8
A plane-wave DFT calculation with PBE was carried out for a geometry-optimized FeSiN2 structure.

Summary:
M_tot = 1.000 μB/atom
formation energy from the elements = -610 meV per atom
uncorrected energy = -8.07 eV per atom

The structure in CIF format:
```
data_FeSiN2
_chemical_formula_sum 'Fe16 Si16 N32'
_symmetry_space_group_name_H-M 'P b c a'
_symmetry_Int_Tables_number 61
_symmetry_space_group_name_Hall '-P 2ac 2ab'
_cell_length_a 5.112
_cell_length_b 10.193
_cell_length_c 13.151
_cell_angle_alpha 90.00
_cell_angle_beta 90.00
_cell_angle_gamma 90.00
loop_
_atom_site_label
_atom_site_fract_x
_atom_site_fract_y
_atom_site_fract_z
Fe1 0.190 0.037 0.066
Fe2 0.210 0.220 0.188
Si1 0.161 0.538 0.814
Si2 0.213 0.211 0.438
N1 0.127 0.729 0.046
N2 0.165 0.508 0.205
N3 0.174 0.709 0.829
N4 0.219 0.543 0.422
```

# 9
A plane-wave DFT calculation with PBE was carried out for a geometry-optimized Sm2Fe17N2 structure.

Summary:
M_tot = 1.854 μB/atom
formation energy from the elements = -176 meV per atom
uncorrected energy = -8.24 eV per atom

The structure in CIF format:
```
data_Sm2Fe17N2
_chemical_formula_sum 'Sm4 Fe34 N4'
_symmetry_space_group_name_H-M 'C 1 2/m 1'
_symmetry_Int_Tables_number 12
_symmetry_space_group_name_Hall '-C 2y'
_cell_length_a 9.690
_cell_length_b 8.648
_cell_length_c 6.538
_cell_angle_alpha 90.00
_cell_angle_beta 98.38
_cell_angle_gamma 90.00
loop_
_atom_site_label
_atom_site_fract_x
_atom_site_fract_y
_atom_site_fract_z
Sm1 0.158 0.000 0.342
Fe1 0.000 0.215 0.000
Fe2 0.000 0.500 0.500
Fe3 0.096 0.500 0.906
Fe4 0.099 0.255 0.661
Fe5 0.142 0.358 0.283
Fe6 0.155 0.000 0.857
Fe7 0.250 0.250 0.000
N1 0.250 0.250 0.500
```

# 10
A plane-wave DFT calculation with PBE was carried out for a geometry-optimized SmFe12N structure.

Summary:
M_tot = 2.023 μB/atom
formation energy from the elements = -106 meV per atom
uncorrected energy = -8.27 eV per atom

The structure in CIF format:
```
data_SmFe12N
_chemical_formula_sum 'Sm2 Fe24 N2'
_symmetry_space_group_name_H-M 'I 4/m m m'
_symmetry_Int_Tables_number 139
_symmetry_space_group_name_Hall '-I 4 2'
_cell_length_a 8.511
_cell_length_b 8.511
_cell_length_c 4.871
_cell_angle_alpha 90.00
_cell_angle_beta 90.00
_cell_angle_gamma 90.00
loop_
_atom_site_label
_atom_site_fract_x
_atom_site_fract_y
_atom_site_fract_z
Sm1 0.000 0.000 0.000
Fe1 0.000 0.226 0.500
Fe2 0.000 0.361 0.000
Fe3 0.250 0.250 0.250
N1 0.000 0.000 0.500
```

# 11
A plane-wave DFT calculation with PBE was carried out for a geometry-optimized Sm2VFe16N2 structure.

Summary:
M_tot = 1.606 μB/atom
formation energy from the elements = -197 meV per atom
uncorrected energy = -8.29 eV per atom

The structure in CIF format:
```
data_Sm2VFe16N2
_chemical_formula_sum 'Sm4 V2 Fe32 N4'
_symmetry_space_group_name_H-M 'C 1 m 1'
_symmetry_Int_Tables_number 8
_symmetry_space_group_name_Hall 'C -2y'
_cell_length_a 9.749
_cell_length_b 8.591
_cell_length_c 6.566
_cell_angle_alpha 90.00
_cell_angle_beta 98.58
_cell_angle_gamma 90.00
loop_
_atom_site_label
_atom_site_fract_x
_atom_site_fract_y
_atom_site_fract_z
Sm1 0.000 0.000 0.000
Sm2 0.188 0.500 0.311
V1 0.433 0.000 0.566
Fe1 0.092 0.251 0.659
Fe2 0.184 0.500 0.803
Fe3 0.199 0.143 0.377
Fe4 0.242 0.245 0.997
Fe5 0.250 0.000 0.749
Fe6 0.340 0.000 0.158
Fe7 0.341 0.292 0.659
Fe8 0.442 0.244 0.319
Fe9 0.481 0.143 0.943
Fe10 0.499 0.500 0.515
N1 0.092 0.250 0.158
```

# 12
A plane-wave DFT calculation with PBE was carried out for a geometry-optimized SmV2Fe10N structure.

Summary:
M_tot = 1.305 μB/atom
formation energy from the elements = -144 meV per atom
uncorrected energy = -8.40 eV per atom

The structure in CIF format:
```
data_SmV2Fe10N
_chemical_formula_sum 'Sm2 V4 Fe20 N2'
_symmetry_space_group_name_H-M 'I m m m'
_symmetry_Int_Tables_number 71
_symmetry_space_group_name_Hall '-I 2 2'
_cell_length_a 4.770
_cell_length_b 8.461
_cell_length_c 8.536
_cell_angle_alpha 90.00
_cell_angle_beta 90.00
_cell_angle_gamma 90.00
loop_
_atom_site_label
_atom_site_fract_x
_atom_site_fract_y
_atom_site_fract_z
Sm1 0.000 0.000 0.000
V1 0.000 0.360 0.000
Fe1 0.000 0.000 0.371
Fe2 0.000 0.277 0.500
Fe3 0.000 0.500 0.272
Fe4 0.250 0.250 0.250
N1 0.000 0.500 0.500
```

- Which formula does entry 2 have?
  Fe4P6SN12